DFT (PBE+U) results for Li32Mn3Cr13O48 after structural relaxation.

Lattice parameters (Å, degrees): 5.037 8.721 19.510 82.05 85.15 89.54
Space group P1 (No. 1)
Inequivalent atoms, fractional coordinates:
Li  0.000  0.000  0.000 x1
Li  0.001  0.000  0.500 x1
Li  0.008  0.330  0.001 x1
Li  0.010  0.329  0.500 x1
Li  0.017  0.658  0.500 x1
Li  0.019  0.659  0.000 x1
Li  0.134  0.453  0.625 x1
Li  0.136  0.454  0.125 x1
Li  0.248  0.248  0.751 x1
Li  0.253  0.250  0.250 x1
Li  0.257  0.578  0.251 x1
Li  0.259  0.579  0.751 x1
Li  0.271  0.910  0.250 x1
Li  0.271  0.911  0.750 x1
Li  0.386  0.705  0.375 x1
Li  0.386  0.705  0.875 x1
Li  0.506  0.499  0.001 x1
Li  0.507  0.500  0.500 x1
Li  0.507  0.830  0.000 x1
Li  0.508  0.830  0.500 x1
Li  0.520  0.160  0.001 x1
Li  0.521  0.159  0.501 x1
Li  0.637  0.956  0.626 x1
Li  0.638  0.956  0.126 x1
Li  0.753  0.749  0.751 x1
Li  0.754  0.749  0.251 x1
Li  0.761  0.079  0.750 x1
Li  0.762  0.078  0.250 x1
Li  0.769  0.410  0.250 x1
Li  0.771  0.410  0.750 x1
Li  0.886  0.204  0.375 x1
Li  0.886  0.204  0.875 x1
Mn  0.637  0.289  0.125 x1
Mn  0.886  0.537  0.875 x1
Mn  0.887  0.538  0.375 x1
Cr  0.130  0.782  0.127 x1
Cr  0.132  0.782  0.626 x1
Cr  0.141  0.118  0.626 x1
Cr  0.144  0.121  0.125 x1
Cr  0.378  0.040  0.376 x1
Cr  0.380  0.041  0.876 x1
Cr  0.392  0.374  0.875 x1
Cr  0.395  0.373  0.375 x1
Cr  0.631  0.291  0.625 x1
Cr  0.634  0.626  0.125 x1
Cr  0.639  0.627  0.624 x1
Cr  0.884  0.867  0.376 x1
Cr  0.886  0.867  0.876 x1
O  0.048  0.720  0.820 x1
O  0.049  0.720  0.320 x1
O  0.080  0.401  0.318 x1
O  0.080  0.401  0.818 x1
O  0.089  0.042  0.319 x1
O  0.090  0.042  0.819 x1
O  0.179  0.865  0.932 x1
O  0.181  0.864  0.432 x1
O  0.187  0.506  0.432 x1
O  0.187  0.506  0.932 x1
O  0.228  0.187  0.932 x1
O  0.229  0.185  0.432 x1
O  0.289  0.974  0.070 x1
O  0.293  0.973  0.570 x1
O  0.326  0.657  0.068 x1
O  0.327  0.656  0.568 x1
O  0.336  0.296  0.069 x1
O  0.342  0.295  0.569 x1
O  0.430  0.114  0.682 x1
O  0.440  0.117  0.181 x1
O  0.444  0.753  0.183 x1
O  0.444  0.753  0.683 x1
O  0.476  0.436  0.181 x1
O  0.479  0.436  0.681 x1
O  0.541  0.226  0.819 x1
O  0.541  0.227  0.319 x1
O  0.585  0.545  0.819 x1
O  0.586  0.546  0.319 x1
O  0.589  0.904  0.318 x1
O  0.590  0.903  0.818 x1
O  0.682  0.006  0.933 x1
O  0.684  0.007  0.433 x1
O  0.691  0.366  0.431 x1
O  0.693  0.366  0.931 x1
O  0.723  0.684  0.931 x1
O  0.724  0.685  0.431 x1
O  0.797  0.472  0.070 x1
O  0.797  0.477  0.569 x1
O  0.823  0.789  0.069 x1
O  0.824  0.792  0.569 x1
O  0.831  0.152  0.068 x1
O  0.835  0.153  0.568 x1
O  0.937  0.255  0.182 x1
O  0.937  0.256  0.682 x1
O  0.946  0.617  0.182 x1
O  0.947  0.617  0.682 x1
O  0.975  0.932  0.682 x1
O  0.977  0.934  0.182 x1

Summary:
The calculation puts the volume at 8.81 Å³/atom. For the MP2020-corrected energy, the calculation gives -664.99 eV for the cell shown. The formation energy is -213.4 eV per formula unit. The crystal system is triclinic.